Record 1
A relaxed SmAl2Au2 crystal, computed with r²SCAN.

a b c (Å): 4.346 4.346 10.495
angles (deg): 90.00 90.00 90.00
Fractional coordinates of all 10 atoms:
Sm 0.250 0.250 0.249
Sm 0.750 0.750 0.751
Al 0.250 0.250 0.868
Al 0.250 0.750 0.500
Al 0.750 0.250 0.500
Al 0.750 0.750 0.132
Au 0.250 0.250 0.631
Au 0.250 0.750 0.000
Au 0.750 0.250 0.000
Au 0.750 0.750 0.369

Computed properties:
Symmetry: P4/nmm, No. 129
Energy relative to the elements: -0.826 eV/atom
Calculated density: 10023 kg/m³
Crystal system: tetragonal

---

Record 2
A relaxed SrAl2Au2 crystal, computed with r²SCAN.

a b c (Å): 4.488 4.488 10.539
angles (deg): 90.00 90.00 90.00
Fractional coordinates of all 10 atoms:
Sr 0.250 0.250 0.249
Sr 0.750 0.750 0.751
Al 0.250 0.250 0.876
Al 0.250 0.750 0.500
Al 0.750 0.250 0.500
Al 0.750 0.750 0.124
Au 0.250 0.250 0.629
Au 0.250 0.750 0.000
Au 0.750 0.250 0.000
Au 0.750 0.750 0.371

Computed properties:
Symmetry: P4/nmm, No. 129
Energy relative to the elements: -0.701 eV/atom
Calculated density: 8378 kg/m³
Crystal system: tetragonal

---

Record 3
A relaxed TbAlAu crystal, computed with r²SCAN.

a b c (Å): 7.216 4.460 7.747
angles (deg): 90.00 90.00 90.00
Fractional coordinates of all 12 atoms:
Tb 0.008 0.250 0.199
Tb 0.492 0.750 0.699
Tb 0.508 0.250 0.301
Tb 0.992 0.750 0.801
Al 0.174 0.250 0.578
Al 0.326 0.750 0.078
Al 0.674 0.250 0.922
Al 0.826 0.750 0.422
Au 0.213 0.750 0.406
Au 0.287 0.250 0.906
Au 0.713 0.750 0.094
Au 0.787 0.250 0.594

Computed properties:
Symmetry: Pnma, No. 62
Energy relative to the elements: -0.891 eV/atom
Calculated density: 10199 kg/m³
Crystal system: orthorhombic

---

Record 4
A relaxed ThAl2Au2 crystal, computed with r²SCAN.

a b c (Å): 4.397 4.397 10.390
angles (deg): 90.00 90.00 90.00
Fractional coordinates of all 10 atoms:
Th 0.250 0.250 0.247
Th 0.750 0.750 0.753
Al 0.250 0.250 0.869
Al 0.250 0.750 0.500
Al 0.750 0.250 0.500
Al 0.750 0.750 0.131
Au 0.250 0.250 0.629
Au 0.250 0.750 0.000
Au 0.750 0.250 0.000
Au 0.750 0.750 0.371

Computed properties:
Symmetry: P4/nmm, No. 129
Energy relative to the elements: -0.788 eV/atom
Calculated density: 11240 kg/m³
Crystal system: tetragonal

---

Record 5
A relaxed UAlAu crystal, computed with r²SCAN.

a b c (Å): 5.676 5.676 5.676
angles (deg): 129.32 120.28 82.07
Fractional coordinates of all 6 atoms:
U 0.245 0.000 0.245
U 0.755 0.000 0.755
Al 0.335 0.335 0.000
Al 0.665 0.665 0.000
Au 0.174 0.674 0.500
Au 0.826 0.326 0.500

Computed properties:
Symmetry: Immm, No. 71
Energy relative to the elements: -0.445 eV/atom
Calculated density: 13054 kg/m³
Crystal system: orthorhombic

---

Record 6
A relaxed YbAl3Au crystal, computed with r²SCAN.

a b c (Å): 6.350 6.350 6.350
angles (deg): 142.45 142.45 54.16
Fractional coordinates of all 5 atoms:
Yb 0.000 0.000 0.000
Al 0.254 0.754 0.500
Al 0.402 0.402 0.000
Al 0.754 0.254 0.500
Au 0.618 0.618 0.000

Computed properties:
Symmetry: I4mm, No. 107
Energy relative to the elements: -0.604 eV/atom
Calculated density: 7924 kg/m³
Crystal system: tetragonal